No. 1
## NdTlS2 (r²SCAN)

Data for crystalline NdTlS2 at its relaxed geometry.

Properties
The symmetry is R-3m, No. 166. The formation energy is -6.69 eV/f.u. Its magnetic moment is 0.000 μB/cell. As for the final energy: -105.4 eV per formula unit.

abc: 7.8557 7.8557 7.8557
angles: 30.80 30.80 30.80
Positions (direct):
Tl: 0.5000 0.5000 0.5000
S: 0.7350 0.7350 0.7350
S: 0.2650 0.2650 0.2650
Nd: 0.0000 0.0000 0.0000

***

No. 2
## CsTb2Cu3Se5 (r²SCAN)

Data for crystalline CsTb2Cu3Se5 at its relaxed geometry.

Properties
The symmetry is Cmcm, No. 63. The formation energy is -14.43 eV/f.u. Its magnetic moment is 0.000 μB/cell. As for the final energy: -206.1 eV per formula unit.

abc: 7.5912 7.5912 17.4642
angles: 90.00 90.00 148.46
Positions (direct):
Se: 0.5610 0.4390 0.1114
Se: 0.4390 0.5610 0.8886
Se: 0.1664 0.8336 0.5692
Se: 0.7639 0.2361 0.7500
Se: 0.5610 0.4390 0.3886
Se: 0.1664 0.8336 0.9308
Se: 0.2361 0.7639 0.2500
Se: 0.8336 0.1664 0.0692
Se: 0.4390 0.5610 0.6114
Se: 0.8336 0.1664 0.4308
Cu: 0.5822 0.4178 0.9691
Cu: 0.4178 0.5822 0.4691
Cu: 0.3420 0.6580 0.7500
Cu: 0.4178 0.5822 0.0309
Cu: 0.6580 0.3420 0.2500
Cu: 0.5822 0.4178 0.5309
Cs: 0.9390 0.0610 0.2500
Cs: 0.0610 0.9390 0.7500
Tb: 0.8072 0.1928 0.9086
Tb: 0.8072 0.1928 0.5914
Tb: 0.1928 0.8072 0.0914
Tb: 0.1928 0.8072 0.4086

***

No. 3
## Nb3Ru (r²SCAN)

Data for crystalline Nb3Ru at its relaxed geometry.

Properties
The symmetry is Fm-3m, No. 225. The formation energy is -0.84 eV/f.u. Its magnetic moment is 0.000 μB/cell. As for the final energy: -100.5 eV per formula unit.

abc: 4.5705 4.5705 4.5705
angles: 60.00 60.00 60.00
Positions (direct):
Ru: 0.7500 0.7500 0.7500
Nb: 0.2500 0.2500 0.2500
Nb: 0.0000 0.0000 0.0000
Nb: 0.5000 0.5000 0.5000

***

No. 4
## LiPmAu2 (r²SCAN)

Data for crystalline LiPmAu2 at its relaxed geometry.

Properties
The symmetry is Fm-3m, No. 225. The formation energy is -2.92 eV/f.u. Its magnetic moment is 0.000 μB/cell. As for the final energy: -136.0 eV per formula unit.

abc: 4.9260 4.9260 4.9260
angles: 60.00 60.00 60.00
Positions (direct):
Pm: 0.7500 0.7500 0.7500
Au: 0.5000 0.5000 0.5000
Au: 0.0000 0.0000 0.0000
Li: 0.2500 0.2500 0.2500

***

No. 5
## Ca3MgC4O12 (r²SCAN)

Data for crystalline Ca3MgC4O12 at its relaxed geometry.

Properties
The formation energy is -47.05 eV/f.u. The energy above the most stable polymorph in this dataset is 0.0102 eV per atom. Its magnetic moment is 0.000 μB/cell. As for the final energy: -183.8 eV per formula unit.

abc: 7.8763 7.8625 7.9410
angles: 77.13 76.91 77.06
Positions (direct):
O: 0.3695 0.7542 0.6226
O: 0.6305 0.2458 0.3774
O: 0.1161 0.8784 0.7760
O: 0.6118 0.7296 0.8865
O: 0.7585 0.6175 0.3638
O: 0.8882 0.7704 0.1135
O: 0.7675 0.1167 0.8925
O: 0.2675 0.6167 0.8925
O: 0.1180 0.3811 0.2498
O: 0.6161 0.3784 0.7760
O: 0.7325 0.3833 0.1075
O: 0.3882 0.2704 0.1135
O: 0.1305 0.7458 0.3774
O: 0.7415 0.8825 0.6362
O: 0.2585 0.1175 0.3638
O: 0.8695 0.2542 0.6226
O: 0.6180 0.8811 0.2498
O: 0.1118 0.2296 0.8865
O: 0.3820 0.1189 0.7502
O: 0.8839 0.1216 0.2240
O: 0.2325 0.8833 0.1075
O: 0.8820 0.6189 0.7502
O: 0.3839 0.6216 0.2240
O: 0.2415 0.3825 0.6362
Ca: 0.0000 0.5000 0.0000
Ca: 0.0000 0.5000 0.5000
Ca: 0.5000 0.5000 0.5000
Ca: 0.0000 0.0000 0.5000
Ca: 0.5000 0.0000 0.0000
Ca: 0.5000 0.0000 0.5000
C: 0.7444 0.7429 0.7580
C: 0.7556 0.7571 0.2420
C: 0.7485 0.2499 0.2347
C: 0.7515 0.2501 0.7653
C: 0.2515 0.7501 0.7653
C: 0.2444 0.2429 0.7580
C: 0.2485 0.7499 0.2347
C: 0.2556 0.2571 0.2420
Mg: 0.0000 0.0000 0.0000
Mg: 0.5000 0.5000 0.0000

***

No. 6
## BaU2Te5 (r²SCAN)

Data for crystalline BaU2Te5 at its relaxed geometry.

Properties
The symmetry is I4/mcm, No. 140. The formation energy is -10.40 eV/f.u. Its magnetic moment is 8.092 μB/cell. As for the final energy: -323.9 eV per formula unit.

abc: 9.6351 9.6351 9.6350
angles: 128.24 128.24 76.23
Positions (direct):
U: 0.6548 0.1548 0.8097
U: 0.1548 0.3452 0.5000
U: 0.8452 0.6548 0.5000
U: 0.3452 0.8452 0.1903
Te: 0.2177 0.0149 0.5000
Te: 0.9852 0.4852 0.2028
Te: 0.7176 0.2176 0.2028
Te: 0.0148 0.5148 0.7972
Te: 0.4851 0.2823 0.5000
Te: 0.5000 0.5000 0.0000
Te: 0.7823 0.9851 0.5000
Te: 0.2824 0.7824 0.7972
Te: 0.5149 0.7177 0.5000
Te: 0.0000 0.0000 0.0000
Ba: 0.2500 0.2500 0.0000
Ba: 0.7500 0.7500 0.0000

***

No. 7
## GaSiNi6 (r²SCAN)

Data for crystalline GaSiNi6 at its relaxed geometry.

Properties
The symmetry is P4/mmm, No. 123. The formation energy is -2.86 eV/f.u. Its magnetic moment is 1.280 μB/cell. As for the final energy: -95.0 eV per formula unit.

abc: 3.5031 3.5031 6.9919
angles: 90.00 90.00 90.00
Positions (direct):
Ni: 0.5000 0.5000 0.5000
Ni: 0.5000 0.0000 0.2584
Ni: 0.0000 0.5000 0.2584
Ni: 0.0000 0.5000 0.7416
Ni: 0.5000 0.0000 0.7416
Ni: 0.5000 0.5000 0.0000
Si: 0.0000 0.0000 0.5000
Ga: 0.0000 0.0000 0.0000

***

No. 8
## AlAsO4 (r²SCAN)

Data for crystalline AlAsO4 at its relaxed geometry.

Properties
The symmetry is I-4, No. 82. The formation energy is -13.06 eV/f.u. Its magnetic moment is 0.000 μB/cell. As for the final energy: -58.4 eV per formula unit.

abc: 5.2021 5.2021 5.2021
angles: 87.30 121.57 121.57
Positions (direct):
Al: 0.0000 0.0000 0.0000
O: 0.6109 0.9946 0.8672
O: 0.3891 0.2562 0.3836
O: 0.8726 0.6164 0.0054
O: 0.1274 0.1328 0.7438
As: 0.5000 0.2500 0.7500

***

No. 9
## Na3FeF6 (r²SCAN)

Data for crystalline Na3FeF6 at its relaxed geometry.

Properties
The symmetry is P2_1/c, No. 14. The formation energy is -28.80 eV/f.u. Its magnetic moment is 10.000 μB/cell. As for the final energy: -72.7 eV per formula unit.

abc: 5.7070 5.4282 9.4856
angles: 55.84 90.00 90.00
Positions (direct):
F: 0.2819 0.2438 0.9253
F: 0.6780 0.3449 0.4463
F: 0.3220 0.6551 0.5537
F: 0.0590 0.8933 0.2295
F: 0.9410 0.1067 0.7705
F: 0.5590 0.1067 0.2705
F: 0.2181 0.2438 0.4253
F: 0.7181 0.7562 0.0747
F: 0.1780 0.6551 0.0537
F: 0.7819 0.7562 0.5747
F: 0.8220 0.3449 0.9463
F: 0.4410 0.8933 0.7295
Na: 0.5629 0.2764 0.7429
Na: 0.0629 0.7236 0.7571
Na: 0.4371 0.7236 0.2571
Na: 0.9371 0.2764 0.2429
Na: 0.5000 0.5000 0.0000
Na: 0.0000 0.5000 0.5000
Fe: 0.5000 0.0000 0.5000
Fe: 0.0000 0.0000 0.0000

***

What is the final energy in the third record?
-100.5 eV per formula unit

***

Number 2 is which compound?
CsTb2Cu3Se5

***

Please write out number 4 again, unchanged.
## LiPmAu2 (r²SCAN)

Data for crystalline LiPmAu2 at its relaxed geometry.

Properties
The symmetry is Fm-3m, No. 225. The formation energy is -2.92 eV/f.u. Its magnetic moment is 0.000 μB/cell. As for the final energy: -136.0 eV per formula unit.

abc: 4.9260 4.9260 4.9260
angles: 60.00 60.00 60.00
Positions (direct):
Pm: 0.7500 0.7500 0.7500
Au: 0.5000 0.5000 0.5000
Au: 0.0000 0.0000 0.0000
Li: 0.2500 0.2500 0.2500

***

Which value of final energy does entry 6 give?
-323.9 eV per formula unit